The following is a PBE calculation of a geometry-optimized Na2InAgCl6 structure, from the Materials Project.

Results
- calculated formation energy (eV/atom) = -1.49
- uncorrected energy (eV/atom) = -3.05
- crystal system = cubic
- ρ (Mg/m³) = 2.8
- MP2020-corrected energy (eV per cell) = -34.2

abc: 7.3662 7.3662 7.3662
angles: 60.00 60.00 60.00
Fractional coordinates of all 10 atoms:
Na  0.7500  0.7500  0.7500
Na  0.2500  0.2500  0.2500
In  0.0000  0.0000  0.0000
Ag  0.5000  0.5000  0.5000
Cl  0.7566  0.2434  0.2434
Cl  0.2434  0.2434  0.7566
Cl  0.2434  0.7566  0.7566
Cl  0.2434  0.7566  0.2434
Cl  0.7566  0.2434  0.7566
Cl  0.7566  0.7566  0.2434

The following is a PBE calculation of a geometry-optimized Rb2InAgCl6 structure, from the Materials Project.

Results
- calculated formation energy (eV/atom) = -1.71
- uncorrected energy (eV/atom) = -3.21
- crystal system = cubic
- ρ (Mg/m³) = 3.4
- MP2020-corrected energy (eV per cell) = -35.8

abc: 7.4711 7.4711 7.4711
angles: 60.00 60.00 60.00
Fractional coordinates of all 10 atoms:
Rb  0.7500  0.7500  0.7500
Rb  0.2500  0.2500  0.2500
In  0.0000  0.0000  0.0000
Ag  0.5000  0.5000  0.5000
Cl  0.7580  0.2420  0.2420
Cl  0.2420  0.2420  0.7580
Cl  0.2420  0.7580  0.7580
Cl  0.2420  0.7580  0.2420
Cl  0.7580  0.2420  0.7580
Cl  0.7580  0.7580  0.2420

The following is a PBE calculation of a geometry-optimized In2AgSe3Cl structure, from the Materials Project.

Results
- calculated formation energy (eV/atom) = -0.63
- uncorrected energy (eV/atom) = -3.49
- crystal system = trigonal
- ρ (Mg/m³) = 5.3
- MP2020-corrected energy (eV per cell) = -50.1

abc: 8.0688 8.0688 8.0688
angles: 61.14 61.14 61.14
Fractional coordinates of all 14 atoms:
In  0.0000  0.0000  0.0000
In  0.0000  0.5000  0.0000
In  0.5000  0.0000  0.0000
In  0.0000  0.0000  0.5000
Ag  0.6019  0.6019  0.6019
Ag  0.3981  0.3981  0.3981
Se  0.2414  0.7839  0.2414
Se  0.7839  0.2414  0.2414
Se  0.2414  0.2414  0.7839
Se  0.7586  0.2161  0.7586
Se  0.2161  0.7586  0.7586
Se  0.7586  0.7586  0.2161
Cl  0.2492  0.2492  0.2492
Cl  0.7508  0.7508  0.7508